A geometry-optimized SrCoP2O7 structure, computed with r²SCAN.

Computed properties:
calculated volume	554	Å³/cell
E_form	-2.550	eV/atom

Lattice parameters (Å, degrees): 8.204 5.333 13.726 67.20 90.00 90.00
Element x y z (fractional)
Sr (0.160, 0.993, 0.221)
Sr (0.660, 0.007, 0.279)
Sr (0.840, 0.007, 0.779)
Sr (0.340, 0.993, 0.721)
Co (0.351, 0.283, 0.395)
Co (0.851, 0.717, 0.105)
Co (0.649, 0.717, 0.605)
Co (0.149, 0.283, 0.895)
P (0.301, 0.667, 0.518)
P (0.801, 0.333, 0.982)
P (0.699, 0.333, 0.482)
P (0.199, 0.667, 0.018)
P (0.965, 0.415, 0.336)
P (0.465, 0.585, 0.164)
P (0.035, 0.585, 0.664)
P (0.535, 0.415, 0.836)
O (0.317, 0.888, 0.408)
O (0.817, 0.112, 0.092)
O (0.683, 0.112, 0.592)
O (0.183, 0.888, 0.908)
O (0.166, 0.379, 0.026)
O (0.666, 0.621, 0.474)
O (0.834, 0.621, 0.974)
O (0.334, 0.379, 0.526)
O (0.440, 0.809, 0.204)
O (0.940, 0.191, 0.296)
O (0.560, 0.191, 0.796)
O (0.060, 0.809, 0.704)
O (0.386, 0.681, 0.049)
O (0.886, 0.319, 0.451)
O (0.614, 0.319, 0.951)
O (0.114, 0.681, 0.549)
O (0.358, 0.475, 0.849)
O (0.858, 0.525, 0.651)
O (0.642, 0.525, 0.151)
O (0.142, 0.475, 0.349)
O (0.402, 0.732, 0.600)
O (0.902, 0.268, 0.900)
O (0.598, 0.268, 0.400)
O (0.098, 0.732, 0.100)
O (0.119, 0.320, 0.734)
O (0.619, 0.680, 0.766)
O (0.881, 0.680, 0.266)
O (0.381, 0.320, 0.234)